Material: CeAl4Co
Method: DFT, r²SCAN
State: optimized geometry

- electronic total energy (eV/atom) = -12.335
- space-group type = Pmma (51)
- energy of formation (eV/f.u.) = -3.007

Cell lengths 7.5838, 4.0334, 6.8605 Å; angles 90.00, 90.00, 90.00 degrees
Fractional coordinates of all 12 atoms:
Ce 0.2500 0.0000 0.1172
Ce 0.7500 0.0000 0.8828
Al 0.0000 0.0000 0.5000
Al 0.0697 0.5000 0.7971
Al 0.2500 0.5000 0.4589
Al 0.4303 0.5000 0.7971
Al 0.5000 0.0000 0.5000
Al 0.5697 0.5000 0.2029
Al 0.7500 0.5000 0.5411
Al 0.9303 0.5000 0.2029
Co 0.2500 0.0000 0.6897
Co 0.7500 0.0000 0.3103